Entry 1:
DFT (meta-GGA r2SCAN) results for an optimized crystal structure of Li4Mn5O10.

Structure (POSCAR):
```
Li4Mn5O10
1.0
2.186 -2.959 -3.495
3.214 -1.444 3.762
-6.048 -4.809 -0.188
O Li Mn
10 4 5
Direct
0.807 0.848 0.392 O
0.782 0.452 0.575 O
0.807 0.658 0.015 O
0.780 0.080 0.831 O
0.178 0.167 0.610 O
0.214 0.515 0.384 O
0.215 0.975 0.198 O
0.786 0.204 0.203 O
0.178 0.755 0.786 O
0.211 0.327 0.010 O
0.564 0.861 0.206 Li
0.418 0.097 0.802 Li
0.417 0.492 0.592 Li
0.439 0.299 0.192 Li
0.992 0.001 0.004 Mn
0.972 0.805 0.596 Mn
0.017 0.589 0.200 Mn
0.970 0.409 0.806 Mn
0.994 0.198 0.397 Mn
```

Summary:
**SG**: P1
**Energy relative to the elements**: -2.12 eV per atom
**Total moment**: 16.99 μB/cell
**Crystal system**: triclinic

---

Entry 2:
DFT (meta-GGA r2SCAN) results for an optimized crystal structure of Li2MnO3.

Structure (POSCAR):
```
Li2MnO3
1.0
-2.313 -4.240 0.814
-2.313 4.240 0.814
-4.616 0.000 -8.341
O Mn Li
12 4 8
Direct
0.963 0.320 0.612 O
0.680 0.037 0.388 O
0.394 0.394 0.386 O
0.537 0.180 0.888 O
0.894 0.894 0.886 O
0.180 0.537 0.888 O
0.106 0.106 0.114 O
0.463 0.820 0.112 O
0.820 0.463 0.112 O
0.320 0.963 0.612 O
0.606 0.606 0.614 O
0.037 0.680 0.388 O
0.167 0.833 0.000 Mn
0.833 0.167 0.000 Mn
0.667 0.333 0.500 Mn
0.333 0.667 0.500 Mn
0.411 0.089 0.250 Li
0.911 0.589 0.750 Li
0.089 0.411 0.250 Li
0.000 0.000 0.500 Li
0.500 0.500 0.000 Li
0.250 0.250 0.750 Li
0.750 0.750 0.250 Li
0.589 0.911 0.750 Li
```

Summary:
**Energy relative to the elements**: -2.31 eV per atom
**Total moment**: 12.00 μB/cell

---

Entry 3:
DFT (meta-GGA r2SCAN) results for an optimized crystal structure of LiMn3O6.

Structure (POSCAR):
```
LiMn3O6
1.0
-1.704 -3.800 3.889
5.177 -2.380 -0.042
5.246 4.375 10.762
Mn O Li
12 24 4
Direct
0.167 0.666 0.167 Mn
0.666 0.167 0.667 Mn
0.497 0.500 0.000 Mn
0.833 0.331 0.833 Mn
0.837 0.833 0.334 Mn
0.167 0.166 0.167 Mn
0.499 0.003 0.500 Mn
0.166 0.167 0.667 Mn
0.833 0.837 0.834 Mn
0.003 0.500 0.000 Mn
0.331 0.833 0.333 Mn
0.500 0.497 0.500 Mn
0.088 0.059 0.323 O
0.728 0.754 0.491 O
0.053 0.579 0.842 O
0.755 0.280 0.991 O
0.912 0.938 0.675 O
0.420 0.946 0.659 O
0.397 0.420 0.158 O
0.246 0.274 0.010 O
0.617 0.089 0.824 O
0.912 0.389 0.675 O
0.274 0.246 0.510 O
0.605 0.580 0.842 O
0.059 0.088 0.823 O
0.280 0.755 0.491 O
0.579 0.053 0.342 O
0.754 0.728 0.991 O
0.580 0.605 0.342 O
0.389 0.912 0.175 O
0.715 0.245 0.510 O
0.245 0.715 0.010 O
0.089 0.617 0.324 O
0.938 0.912 0.175 O
0.420 0.397 0.658 O
0.946 0.420 0.158 O
0.374 0.624 0.753 Li
0.624 0.374 0.253 Li
0.712 0.959 0.080 Li
0.959 0.712 0.580 Li
```

Summary:
**SG**: Cc
**Energy relative to the elements**: -2.12 eV per atom
**Total moment**: 32.00 μB/cell
**Crystal system**: monoclinic

---

Entry 4:
DFT (meta-GGA r2SCAN) results for an optimized crystal structure of Li3MnO3.

Structure (POSCAR):
```
Li3MnO3
1.0
-1.466 2.564 1.825
-0.885 -5.483 6.993
8.046 2.487 2.968
O Li Mn
12 12 4
Direct
0.500 0.102 0.102 O
0.500 0.113 0.679 O
0.000 0.179 0.387 O
0.500 0.679 0.113 O
0.500 0.898 0.898 O
0.500 0.887 0.321 O
0.000 0.602 0.398 O
0.500 0.321 0.887 O
0.000 0.387 0.179 O
0.000 0.398 0.602 O
0.000 0.821 0.613 O
0.000 0.613 0.821 O
0.000 0.173 0.173 Li
0.000 0.827 0.827 Li
0.500 0.327 0.673 Li
0.500 0.355 0.095 Li
0.000 0.855 0.405 Li
0.500 0.645 0.905 Li
0.500 0.095 0.355 Li
0.500 0.673 0.327 Li
0.000 0.145 0.595 Li
0.000 0.405 0.855 Li
0.500 0.905 0.645 Li
0.000 0.595 0.145 Li
0.500 0.115 0.885 Mn
0.000 0.615 0.615 Mn
0.500 0.885 0.115 Mn
0.000 0.385 0.385 Mn
```

Summary:
**SG**: P4_2/mnm
**Energy relative to the elements**: -2.13 eV per atom
**Total moment**: 0.00 μB/cell
**Crystal system**: tetragonal

---

Entry 5:
DFT (meta-GGA r2SCAN) results for an optimized crystal structure of LiMnP2O7.

Structure (POSCAR):
```
LiMnP2O7
1.0
6.238 0.001 0.016
-2.921 -8.786 -0.034
0.588 4.153 -9.581
O Mn P Li
28 4 8 4
Direct
0.630 0.142 0.430 O
0.605 0.333 0.025 O
0.902 0.935 0.181 O
0.991 0.729 0.699 O
0.359 0.851 0.557 O
0.298 0.334 0.804 O
0.456 0.922 0.179 O
0.405 0.657 0.963 O
0.633 0.684 0.463 O
0.920 0.269 0.886 O
0.083 0.713 0.100 O
0.008 0.263 0.304 O
0.122 0.064 0.830 O
0.316 0.451 0.212 O
0.215 0.541 0.458 O
0.978 0.104 0.631 O
0.709 0.659 0.189 O
0.359 0.312 0.530 O
0.776 0.453 0.534 O
0.682 0.536 0.781 O
0.433 0.695 0.685 O
0.948 0.503 0.267 O
0.758 0.121 0.045 O
0.044 0.472 0.711 O
0.555 0.299 0.307 O
0.553 0.056 0.819 O
0.056 0.865 0.357 O
0.258 0.877 0.957 O
0.272 0.901 0.780 Mn
0.363 0.511 0.744 Mn
0.633 0.478 0.245 Mn
0.735 0.089 0.216 Mn
0.081 0.185 0.779 P
0.312 0.795 0.043 P
0.565 0.296 0.452 P
0.697 0.192 0.950 P
0.425 0.700 0.538 P
0.935 0.800 0.216 P
0.880 0.554 0.691 P
0.116 0.434 0.300 P
0.531 0.497 0.981 Li
0.026 0.203 0.497 Li
0.927 0.861 0.527 Li
0.377 0.936 0.407 Li
```

Summary:
**SG**: P1
**Energy relative to the elements**: -2.38 eV per atom
**Excess energy over the best structure of this formula in the dataset**: 0.21 eV per formula unit
**Total moment**: 16.00 μB/cell
**Crystal system**: triclinic

---

Entry 6:
DFT (meta-GGA r2SCAN) results for an optimized crystal structure of LiMnP2O7.

Structure (POSCAR):
```
LiMnP2O7
1.0
8.134 0.000 0.000
0.000 6.805 0.032
0.000 3.209 8.584
O Mn P Li
28 4 8 4
Direct
0.253 0.137 0.288 O
0.189 0.762 0.896 O
0.388 0.964 0.116 O
0.247 0.137 0.788 O
0.112 0.544 0.608 O
0.270 0.379 0.449 O
0.888 0.036 0.384 O
0.888 0.456 0.392 O
0.590 0.106 0.308 O
0.919 0.485 0.862 O
0.081 0.515 0.138 O
0.730 0.621 0.551 O
0.311 0.762 0.396 O
0.910 0.106 0.808 O
0.612 0.036 0.884 O
0.090 0.894 0.192 O
0.112 0.964 0.616 O
0.753 0.863 0.212 O
0.419 0.515 0.638 O
0.770 0.621 0.051 O
0.230 0.379 0.949 O
0.388 0.544 0.108 O
0.612 0.456 0.892 O
0.410 0.894 0.692 O
0.689 0.238 0.604 O
0.747 0.863 0.712 O
0.811 0.238 0.104 O
0.581 0.485 0.362 O
0.430 0.300 0.325 Mn
0.570 0.700 0.675 Mn
0.930 0.700 0.175 Mn
0.070 0.300 0.825 Mn
0.761 0.055 0.264 P
0.274 0.544 0.526 P
0.774 0.456 0.974 P
0.726 0.456 0.474 P
0.739 0.055 0.764 P
0.261 0.945 0.236 P
0.239 0.945 0.736 P
0.226 0.544 0.026 P
0.563 0.792 0.084 Li
0.063 0.208 0.416 Li
0.437 0.208 0.916 Li
0.937 0.792 0.584 Li
```

Summary:
**SG**: P2_1/c
**Energy relative to the elements**: -2.40 eV per atom
**Excess energy over the best structure of this formula in the dataset**: 0.00 eV per formula unit
**Total moment**: 16.00 μB/cell
**Crystal system**: monoclinic

---

What is the formula in the fourth record? Li3MnO3